VASP calculation (GGA+U) on a relaxed structure of NaVSiO4.

a b c (Å): 5.4338 6.7065 8.5363
angles (deg): 90.00 90.00 90.00
With the nearest neighbours (Å) after each atom.
Sites, in units of the cell vectors:
O1 0.5000 0.5562 0.7245  1 Si 1.62
O2 0.7490 0.2500 0.0456  1 Si 1.68
O3 0.0000 0.0562 0.7755  1 Si 1.62
O4 0.7490 0.7500 0.9544  1 Si 1.68
O5 0.0000 0.9438 0.2245  1 Si 1.62
O6 0.0000 0.5562 0.2245  1 Si 1.62
O7 0.2510 0.2500 0.0456  1 Si 1.68
O8 0.0000 0.4438 0.7755  1 Si 1.62
O9 0.2510 0.7500 0.9544  1 Si 1.68
O10 0.2490 0.2500 0.5456  1 Si 1.68
O11 0.7510 0.2500 0.5456  1 Si 1.68
O12 0.5000 0.9438 0.7245  1 Si 1.62
O13 0.2490 0.7500 0.4544  1 Si 1.68
O14 0.7510 0.7500 0.4544  1 Si 1.68
O15 0.5000 0.4438 0.2755  1 Si 1.62
O16 0.5000 0.0562 0.2755  1 Si 1.62
Na1 0.5000 0.7500 0.1837  4 O 2.20-2.38
Na2 0.0000 0.7500 0.6837  4 O 2.20-2.38
Na3 0.0000 0.2500 0.3163  4 O 2.20-2.38
Na4 0.5000 0.2500 0.8163  4 O 2.20-2.38
Si1 0.0000 0.2500 0.6614  4 O 1.62-1.68
Si2 0.5000 0.7500 0.8386  4 O 1.62-1.68
Si3 0.5000 0.2500 0.1614  4 O 1.62-1.68
Si4 0.0000 0.7500 0.3386  4 O 1.62-1.68
V1 0.0000 0.0000 0.0000  2 O 1.95
V2 0.0000 0.5000 0.0000  2 O 1.95
V3 0.5000 0.0000 0.5000  2 O 1.95
V4 0.5000 0.5000 0.5000  2 O 1.95

As for the energy of formation from the pure elements: -263.84 kJ/mol of atoms. The magnetic moment is 0.0 Bohr magnetons per cell. For the total energy, the calculation gives -7.188 eV/atom. The MP2020-corrected energy comes out at -219.1 eV for the cell shown.